A plane-wave DFT calculation with PBE was carried out for a relaxed structure of La2MgO4.

a = 6.861 Å, b = 6.861 Å, c = 6.861 Å
α = 146.69°, β = 146.69°, γ = 47.82°
Fractional coordinates of all 7 atoms:
O 0.179 0.179 0.000
O 0.500 0.000 0.500
O 0.821 0.821 0.000
O 0.000 0.500 0.500
La 0.637 0.637 0.000
La 0.363 0.363 0.000
Mg 0.000 0.000 0.000

Summary:
Its total magnetization is 0.00 μB per cell. For the density, the calculation gives 6.27 g/cm³. Its energy above the most stable polymorph in this dataset is 16 meV/atom. The space group is I4/mmm, No. 139. The value obtained for the total energy is -7.627 eV per atom.

***

A plane-wave DFT calculation with PBE was carried out for a relaxed structure of YMg14Sb.

a = 6.502 Å, b = 6.367 Å, c = 10.448 Å
α = 90.00°, β = 90.00°, γ = 119.31°
Fractional coordinates of all 16 atoms:
Mg 0.832 0.166 0.380
Mg 0.337 0.169 0.868
Mg 0.164 0.832 0.625
Mg 0.337 0.668 0.868
Mg 0.666 0.334 0.625
Mg 0.666 0.832 0.625
Mg 0.666 0.329 0.125
Mg 0.337 0.169 0.382
Mg 0.831 0.665 0.375
Mg 0.832 0.166 0.870
Mg 0.831 0.665 0.875
Mg 0.166 0.333 0.625
Mg 0.666 0.837 0.125
Mg 0.337 0.668 0.382
Sb 0.169 0.835 0.125
Y 0.164 0.332 0.125

Summary:
Its total magnetization is 0.00 μB per cell. For the density, the calculation gives 2.43 g/cm³. Its energy above the most stable polymorph in this dataset is 0 meV/atom. The space group is Amm2, No. 38. The value obtained for the total energy is -2.136 eV per atom.

***

A plane-wave DFT calculation with PBE was carried out for a relaxed structure of Na10Y4Si7Sn4S5O48.

a = 18.452 Å, b = 9.252 Å, c = 22.952 Å
α = 90.06°, β = 88.20°, γ = 119.84°
Fractional coordinates of all 234 atoms:
O 0.727 0.327 0.744
O 0.394 0.966 0.685
O 0.925 0.339 0.248
O 0.336 0.127 0.134
O 0.587 0.983 0.918
O 0.933 0.559 0.029
O 0.228 0.327 0.743
O 0.425 0.340 0.248
O 0.591 0.689 0.752
O 0.849 0.134 0.024
O 0.825 0.508 0.631
O 0.424 0.468 0.423
O 0.087 0.145 0.087
O 0.929 0.386 0.929
O 0.234 0.154 0.531
O 0.161 0.847 0.586
O 0.722 0.316 0.151
O 0.732 0.182 0.534
O 0.181 0.898 0.852
O 0.419 0.039 0.798
O 0.758 0.359 0.416
O 0.672 0.858 0.971
O 0.894 0.801 0.913
O 0.897 0.986 0.691
O 0.769 0.656 0.971
O 0.996 0.215 0.317
O 0.256 0.636 0.865
O 0.570 0.466 0.973
O 0.266 0.873 0.080
O 0.108 0.223 0.806
O 0.081 0.444 0.972
O 0.433 0.310 0.526
O 0.262 0.810 0.757
O 0.268 0.884 0.469
O 0.610 0.010 0.301
O 0.259 0.885 0.363
O 0.423 0.807 0.580
O 0.923 0.823 0.587
O 0.992 0.182 0.911
O 0.090 0.215 0.700
O 0.332 0.521 0.245
O 0.767 0.872 0.081
O 0.062 0.505 0.861
O 0.594 0.963 0.197
O 0.669 0.484 0.088
O 0.231 0.309 0.028
O 0.729 0.120 0.650
O 0.736 0.310 0.033
O 0.556 0.633 0.355
O 0.270 0.667 0.580
O 0.521 0.205 0.201
O 0.569 0.681 0.471
O 0.332 0.142 0.745
O 0.895 0.001 0.811
O 0.394 0.785 0.911
O 0.823 0.501 0.918
O 0.993 0.804 0.415
O 0.599 0.196 0.798
O 0.668 0.462 0.480
O 0.920 0.030 0.081
O 0.425 0.507 0.750
O 0.095 0.698 0.749
O 0.676 0.868 0.582
O 0.270 0.663 0.971
O 0.403 0.829 0.193
O 0.563 0.452 0.581
O 0.591 0.490 0.252
O 0.350 0.141 0.028
O 0.585 0.188 0.418
O 0.432 0.314 0.633
O 0.855 0.570 0.518
O 0.308 0.484 0.917
O 0.756 0.880 0.365
O 0.492 0.182 0.916
O 0.496 0.216 0.317
O 0.190 0.482 0.355
O 0.924 0.514 0.751
O 0.934 0.555 0.135
O 0.392 0.982 0.411
O 0.089 0.034 0.590
O 0.004 0.788 0.814
O 0.348 0.561 0.523
O 0.435 0.555 0.137
O 0.094 0.964 0.196
O 0.520 0.826 0.699
O 0.927 0.470 0.421
O 0.062 0.463 0.577
O 0.225 0.319 0.148
O 0.981 0.815 0.082
O 0.146 0.821 0.252
O 0.480 0.814 0.083
O 0.838 0.134 0.131
O 0.259 0.709 0.254
O 0.769 0.880 0.472
O 0.905 0.786 0.309
O 0.337 0.540 0.630
O 0.558 0.486 0.857
O 0.759 0.632 0.865
O 0.684 0.491 0.362
O 0.733 0.121 0.242
O 0.498 0.782 0.816
O 0.232 0.123 0.242
O 0.088 0.000 0.918
O 0.931 0.326 0.630
O 0.594 0.223 0.692
O 0.591 0.041 0.590
O 0.833 0.523 0.245
O 0.483 0.152 0.580
O 0.821 0.141 0.417
O 0.404 0.786 0.309
O 0.253 0.160 0.920
O 0.902 0.831 0.193
O 0.644 0.465 0.751
O 0.323 0.145 0.415
O 0.891 0.980 0.411
O 0.564 0.680 0.082
O 0.432 0.557 0.030
O 0.170 0.486 0.469
O 0.023 0.209 0.201
O 0.426 0.388 0.924
O 0.759 0.706 0.256
O 0.982 0.158 0.581
O 0.228 0.124 0.649
O 0.757 0.801 0.753
O 0.755 0.667 0.582
O 0.090 0.492 0.252
O 0.760 0.157 0.918
O 0.823 0.134 0.750
O 0.066 0.637 0.361
O 0.063 0.677 0.480
O 0.170 0.485 0.087
O 0.064 0.677 0.081
O 0.017 0.821 0.696
O 0.158 0.843 0.967
O 0.258 0.358 0.418
O 0.689 0.892 0.856
O 0.086 0.191 0.418
O 0.418 0.027 0.082
O 0.931 0.304 0.524
O 0.486 0.799 0.414
O 0.108 0.010 0.301
O 0.647 0.820 0.252
O 0.152 0.479 0.750
O 0.587 0.146 0.088
Sn 0.498 0.014 0.149
Sn 0.825 0.321 0.981
Sn 0.325 0.329 0.481
Sn 0.663 0.648 0.316
Sn 0.327 0.315 0.981
Sn 0.664 0.680 0.816
Sn 0.828 0.350 0.482
Sn 0.999 0.017 0.150
Sn 0.995 0.979 0.652
Sn 0.164 0.647 0.315
Sn 0.162 0.683 0.815
Sn 0.496 0.975 0.651
S 0.306 0.647 0.916
S 0.146 0.982 0.248
S 0.309 0.970 0.414
S 0.340 0.040 0.082
S 0.642 0.302 0.747
S 0.144 0.311 0.749
S 0.478 0.651 0.082
S 0.476 0.305 0.580
S 0.646 0.981 0.248
S 0.809 0.649 0.917
S 0.808 0.969 0.416
S 0.977 0.314 0.578
S 0.978 0.650 0.082
S 0.841 0.041 0.080
S 0.343 0.641 0.580
Y 0.659 0.668 0.521
Y 0.497 0.000 0.856
Y 0.503 0.004 0.352
Y 0.003 0.003 0.353
Y 0.161 0.656 0.021
Y 0.166 0.673 0.520
Y 0.660 0.653 0.023
Y 0.335 0.337 0.184
Y 0.834 0.336 0.185
Y 0.837 0.341 0.689
Y 0.999 0.999 0.850
Y 0.334 0.334 0.687
Si 0.683 0.047 0.590
Si 0.672 0.971 0.919
Si 0.181 0.040 0.591
Si 0.350 0.714 0.251
Si 0.836 0.639 0.581
Si 0.851 0.715 0.252
Si 0.014 0.656 0.421
Si 0.512 0.655 0.417
Si 0.017 0.375 0.919
Si 0.180 0.321 0.089
Si 0.171 0.371 0.417
Si 0.680 0.320 0.091
Si 0.502 0.697 0.756
Si 0.670 0.368 0.421
Si 0.004 0.698 0.754
Si 0.169 0.970 0.916
Si 0.003 0.306 0.255
Si 0.352 0.987 0.748
Si 0.503 0.305 0.255
Si 0.846 0.986 0.753
Si 0.514 0.373 0.919
Na 0.015 0.021 0.003
Na 0.497 0.681 0.910
Na 0.156 0.295 0.930
Na 0.342 0.656 0.399
Na 0.992 0.309 0.410
Na 0.675 0.687 0.670
Na 0.680 0.374 0.236
Na 0.182 0.994 0.742
Na 0.999 0.680 0.908
Na 0.495 0.314 0.409
Na 0.013 0.703 0.577
Na 0.680 0.651 0.166
Na 0.181 0.694 0.672
Na 0.835 0.324 0.335
Na 0.527 0.983 0.497
Na 0.335 0.325 0.332
Na 0.530 0.070 0.997
Na 0.180 0.371 0.236
Na 0.491 0.345 0.767
Na 0.845 0.662 0.408
Na 0.992 0.631 0.260
Na 0.180 0.650 0.166
Na 0.340 0.315 0.836
Na 0.678 0.992 0.742
Na 0.850 0.335 0.829
Na 0.826 0.958 0.598
Na 0.665 0.348 0.578
Na 0.033 0.012 0.500
Na 0.493 0.631 0.259
Na 0.844 0.029 0.901

Summary:
Its total magnetization is 0.00 μB per cell. For the density, the calculation gives 3.21 g/cm³. The space group is P1, No. 1. The value obtained for the total energy is -6.677 eV per atom.

***

A plane-wave DFT calculation with PBE was carried out for a relaxed structure of CaAs2HF13.

a = 9.483 Å, b = 9.718 Å, c = 10.701 Å
α = 76.20°, β = 90.00°, γ = 90.00°
Fractional coordinates of all 68 atoms:
F 0.073 0.745 0.995
F 0.266 0.345 0.329
F 0.224 0.897 0.296
F 0.927 0.255 0.005
F 0.747 0.038 0.946
F 0.437 0.046 0.314
F 0.965 0.889 0.428
F 0.766 0.655 0.171
F 0.051 0.641 0.312
F 0.269 0.153 0.669
F 0.535 0.889 0.928
F 0.776 0.103 0.704
F 0.247 0.962 0.554
F 0.776 0.399 0.295
F 0.937 0.954 0.186
F 0.248 0.538 0.446
F 0.562 0.548 0.316
F 0.063 0.046 0.814
F 0.224 0.601 0.705
F 0.449 0.641 0.812
F 0.966 0.614 0.573
F 0.563 0.954 0.686
F 0.949 0.359 0.688
F 0.062 0.452 0.184
F 0.573 0.255 0.505
F 0.552 0.145 0.810
F 0.534 0.614 0.073
F 0.276 0.601 0.205
F 0.052 0.855 0.690
F 0.769 0.847 0.831
F 0.724 0.103 0.204
F 0.034 0.386 0.427
F 0.234 0.345 0.829
F 0.276 0.897 0.796
F 0.551 0.359 0.188
F 0.035 0.111 0.572
F 0.748 0.462 0.054
F 0.231 0.153 0.169
F 0.731 0.847 0.331
F 0.427 0.745 0.495
F 0.252 0.538 0.946
F 0.465 0.111 0.072
F 0.948 0.145 0.310
F 0.753 0.038 0.446
F 0.466 0.386 0.927
F 0.938 0.548 0.816
F 0.752 0.462 0.554
F 0.724 0.399 0.795
F 0.438 0.452 0.684
F 0.253 0.962 0.054
F 0.734 0.655 0.671
F 0.448 0.855 0.190
Ca 0.168 0.753 0.500
Ca 0.332 0.753 0.000
Ca 0.668 0.247 0.000
Ca 0.832 0.247 0.500
H 0.976 0.311 0.051
H 0.024 0.689 0.949
H 0.524 0.311 0.551
H 0.476 0.689 0.449
As 0.656 0.991 0.814
As 0.155 0.489 0.314
As 0.344 0.009 0.186
As 0.655 0.511 0.186
As 0.844 0.991 0.314
As 0.345 0.489 0.814
As 0.156 0.009 0.686
As 0.845 0.511 0.686

Summary:
Its total magnetization is 0.00 μB per cell. For the density, the calculation gives 3.04 g/cm³. The space group is P2_1/c, No. 14. The value obtained for the total energy is -4.673 eV per atom.